Material: NbVO4
Method: DFT, GGA+U
State: relaxed

Unit cell a=6.1601 b=6.1601 c=4.9586 alpha=68.92 beta=68.92 gamma=114.81
With the nearest neighbours (Å) after each atom.
Fractional positions:
O: 0.7996 0.7306 0.7385  2 V 1.99-2.18, 1 Nb 2.07
O: 0.2694 0.2004 0.7615  2 V 1.99-2.18, 1 Nb 2.07
O: 0.4785 0.8976 0.8360  1 V 1.97, 1 Nb 1.99
V: 0.4064 0.5936 0.7500  6 O 1.97-2.18
O: 0.7306 0.7996 0.2385  2 V 1.99-2.18, 1 Nb 2.07
O: 0.2004 0.2694 0.2615  2 V 1.99-2.18, 1 Nb 2.07
Nb: 0.1317 0.8683 0.2500  4 O 1.99-2.07
O: 0.8976 0.4785 0.3360  1 V 1.97, 1 Nb 1.99
O: 0.1024 0.5215 0.6640  1 V 1.97, 1 Nb 1.99
O: 0.5215 0.1024 0.1640  1 V 1.97, 1 Nb 1.99
Nb: 0.8683 0.1317 0.7500  4 O 1.99-2.07
V: 0.5936 0.4064 0.2500  6 O 1.97-2.18

Results
energy of formation: -2.76 eV per atom
SG: C2/c, No. 15